DFT (PBE+U) results for a relaxed Li2MnCoO4 crystal.

Cell: 6.0479 3.0595 8.1110 Å, 90.00 90.65 90.00°
Closest atoms and distances in Å follow each position.
Space group P2_1/m (No. 11)
Symmetry-distinct sites (fractional):
Li  0.1235  0.2500  0.1261 [2 per cell]  6 O 2.11-2.19
Li  0.3734  0.7500  0.3764 [2 per cell]  6 O 2.11-2.21
Mn  0.3730  0.7500  0.8754 [2 per cell]  6 O 1.93-2.13
Co  0.1225  0.2500  0.6241 [2 per cell]  6 O 1.93-2.11
O  0.1154  0.2500  0.3863 [2 per cell]  3 Co 1.93-2.10, 1 Li 2.11
O  0.1302  0.2500  0.8632 [2 per cell]  1 Co 1.94, 2 Mn 2.12, 3 Li 2.13-2.17
O  0.3628  0.7500  0.6363 [2 per cell]  1 Mn 1.94, 1 Li 2.11, 2 Co 2.11
O  0.3821  0.7500  0.1128 [2 per cell]  3 Mn 1.93-2.13, 1 Li 2.14

## Properties
calculated formation energy = -1.87 eV/atom
relative energy among the computed polymorphs = 63 meV/atom